Below is a relaxed structure of FeSO4, with properties calculated at the r2SCAN level.

* calculated formation energy: -143.9 kJ per mole of atoms
* crystal system: orthorhombic

a = 8.7036 Å, b = 6.7473 Å, c = 4.7824 Å
α = 90.00°, β = 90.00°, γ = 90.00°
Closest atoms and distances in Å follow each position.
Atoms (fractional coordinates):
1 Fe 0.0000 0.0000 0.0000  4 O 2.00-2.14
2 Fe 0.0000 0.5000 0.0000  4 O 2.00-2.14
3 Fe 0.5000 0.0000 0.5000  4 O 2.00-2.14
4 Fe 0.5000 0.5000 0.5000  4 O 2.00-2.14
5 S 0.1776 0.2500 0.4759  4 O 1.46-1.49
6 S 0.3224 0.7500 0.9759  4 O 1.46-1.49
7 S 0.6776 0.2500 0.0241  4 O 1.46-1.49
8 S 0.8224 0.7500 0.5241  4 O 1.46-1.49
9 O 0.1211 0.2500 0.7676  1 S 1.48
10 O 0.1253 0.0694 0.3356  1 S 1.46
11 O 0.1253 0.4306 0.3356  1 S 1.46
12 O 0.1508 0.7500 0.9678  1 S 1.49
13 O 0.3492 0.2500 0.4678  1 S 1.49
14 O 0.3747 0.5694 0.8356  1 S 1.46
15 O 0.3747 0.9306 0.8356  1 S 1.46
16 O 0.3789 0.7500 0.2676  1 S 1.48
17 O 0.6211 0.2500 0.7324  1 S 1.48
18 O 0.6253 0.0694 0.1644  1 S 1.46
19 O 0.6253 0.4306 0.1644  1 S 1.46
20 O 0.6508 0.7500 0.5322  1 S 1.49
21 O 0.8492 0.2500 0.0322  1 S 1.49
22 O 0.8747 0.5694 0.6644  1 S 1.46
23 O 0.8747 0.9306 0.6644  1 S 1.46
24 O 0.8789 0.7500 0.2324  1 S 1.48